Entry 1:
Compound: KBaN
Source: Materials Project
Functional: GGA-PBE
Structure: relaxed

Results
Final energy in eV per atom: -3.77
Space group: R3m (160)
Total magnetization in μB per formula unit: 0.06
Theoretical density in Mg/m³: 2.99

Cell: 4.1434 4.1434 21.3438 Å, 90.00 90.00 120.00°
With the nearest neighbours (Å) after each atom.
Atoms (fractional coordinates):
K  0.0000  0.0000  0.0000  3 N 2.91
K  0.3333  0.6667  0.6667  3 N 2.91
K  0.6667  0.3333  0.3333  3 N 2.91
Ba  0.0000  0.0000  0.5363  3 N 2.65
Ba  0.3333  0.6667  0.2030  3 N 2.65
Ba  0.6667  0.3333  0.8697  3 N 2.65
N  0.0000  0.0000  0.2559  3 Ba 2.65, 3 K 2.91
N  0.3333  0.6667  0.9225  3 Ba 2.65, 3 K 2.91
N  0.6667  0.3333  0.5892  3 Ba 2.65, 3 K 2.91

***

Entry 2:
Compound: ZrH12N5F4
Source: Materials Project
Functional: GGA-PBE
Structure: relaxed

Results
Final energy in eV per atom: -5.36
Space group: P4/ncc (130)
Total magnetization in μB per formula unit: 2.99
Theoretical density in Mg/m³: 1.82

Cell: 9.1628 9.1628 10.8500 Å, 90.00 90.00 90.00°
With the nearest neighbours (Å) after each atom.
Atoms (fractional coordinates):
Zr  0.2500  0.7500  0.2500  4 F 2.08
Zr  0.2500  0.7500  0.7500  4 F 2.08
Zr  0.7500  0.2500  0.2500  4 F 2.08
Zr  0.7500  0.2500  0.7500  4 F 2.08
H  0.0179  0.5491  0.1471  1 N 1.02
H  0.0179  0.9509  0.6471  1 N 1.02
H  0.0491  0.5179  0.3529  1 N 1.02
H  0.0485  0.6847  0.0496  1 N 1.03
H  0.0485  0.8153  0.5496  1 N 1.03
H  0.0491  0.9821  0.8529  1 N 1.02
H  0.0519  0.2125  0.3240  1 N 1.02
H  0.0519  0.2875  0.8240  1 N 1.02
H  0.1847  0.5485  0.4504  1 N 1.03
H  0.1847  0.9515  0.9504  1 N 1.03
H  0.2125  0.0519  0.8240  1 N 1.02
H  0.2125  0.4481  0.3240  1 N 1.02
H  0.2875  0.0519  0.3240  1 N 1.02
H  0.2875  0.4481  0.8240  1 N 1.02
H  0.3153  0.5485  0.9504  1 N 1.03
H  0.3153  0.9515  0.4504  1 N 1.03
H  0.4481  0.2125  0.8240  1 N 1.02
H  0.4481  0.2875  0.3240  1 N 1.02
H  0.4509  0.5179  0.8529  1 N 1.02
H  0.4515  0.6847  0.5496  1 N 1.03
H  0.4515  0.8153  0.0496  1 N 1.03
H  0.4509  0.9821  0.3529  1 N 1.02
H  0.4821  0.5491  0.6471  1 N 1.02
H  0.4821  0.9509  0.1471  1 N 1.02
H  0.5179  0.0491  0.8529  1 N 1.02
H  0.5179  0.4509  0.3529  1 N 1.02
H  0.5491  0.0179  0.6471  1 N 1.02
H  0.5485  0.1847  0.9504  1 N 1.03
H  0.5485  0.3153  0.4504  1 N 1.03
H  0.5491  0.4821  0.1471  1 N 1.02
H  0.5519  0.7125  0.6760  1 N 1.02
H  0.5519  0.7875  0.1760  1 N 1.02
H  0.6847  0.0485  0.5496  1 N 1.03
H  0.6847  0.4515  0.0496  1 N 1.03
H  0.7125  0.5519  0.1760  1 N 1.02
H  0.7125  0.9481  0.6760  1 N 1.02
H  0.7875  0.5519  0.6760  1 N 1.02
H  0.7875  0.9481  0.1760  1 N 1.02
H  0.8153  0.0485  0.0496  1 N 1.03
H  0.8153  0.4515  0.5496  1 N 1.03
H  0.9481  0.7125  0.1760  1 N 1.02
H  0.9481  0.7875  0.6760  1 N 1.02
H  0.9509  0.0179  0.1471  1 N 1.02
H  0.9515  0.1847  0.4504  1 N 1.03
H  0.9515  0.3153  0.9504  1 N 1.03
H  0.9509  0.4821  0.6471  1 N 1.02
H  0.9821  0.0491  0.3529  1 N 1.02
H  0.9821  0.4509  0.8529  1 N 1.02
N  0.0366  0.6591  0.1413  3 H 1.02-1.03
N  0.0366  0.8409  0.6413  3 H 1.02-1.03
N  0.1591  0.5366  0.3587  3 H 1.02-1.03
N  0.1591  0.9634  0.8587  3 H 1.02-1.03
N  0.2500  0.2500  0.1654  4 H 2.52
N  0.2500  0.2500  0.6654  4 H 2.52
N  0.3409  0.5366  0.8587  3 H 1.02-1.03
N  0.3409  0.9634  0.3587  3 H 1.02-1.03
N  0.4634  0.6591  0.6413  3 H 1.02-1.03
N  0.4634  0.8409  0.1413  3 H 1.02-1.03
N  0.5366  0.1591  0.8587  3 H 1.02-1.03
N  0.5366  0.3409  0.3587  3 H 1.02-1.03
N  0.6591  0.0366  0.6413  3 H 1.02-1.03
N  0.6591  0.4634  0.1413  3 H 1.02-1.03
N  0.7500  0.7500  0.3346  4 H 2.52
N  0.7500  0.7500  0.8346  4 H 2.52
N  0.8409  0.0366  0.1413  3 H 1.02-1.03
N  0.8409  0.4634  0.6413  3 H 1.02-1.03
N  0.9634  0.1591  0.3587  3 H 1.02-1.03
N  0.9634  0.3409  0.8587  3 H 1.02-1.03
F  0.0852  0.6787  0.8667  1 H 2.01, 1 Zr 2.08
F  0.0852  0.8213  0.3667  1 H 2.01, 1 Zr 2.08
F  0.1787  0.5852  0.6333  1 H 2.01, 1 Zr 2.08
F  0.1787  0.9148  0.1333  1 H 2.01, 1 Zr 2.08
F  0.3213  0.5852  0.1333  1 H 2.01, 1 Zr 2.08
F  0.3213  0.9148  0.6333  1 H 2.01, 1 Zr 2.08
F  0.4148  0.6787  0.3667  1 H 2.01, 1 Zr 2.08
F  0.4148  0.8213  0.8667  1 H 2.01, 1 Zr 2.08
F  0.5852  0.1787  0.1333  1 H 2.01, 1 Zr 2.08
F  0.5852  0.3213  0.6333  1 H 2.01, 1 Zr 2.08
F  0.6787  0.0852  0.3667  1 H 2.01, 1 Zr 2.08
F  0.6787  0.4148  0.8667  1 H 2.01, 1 Zr 2.08
F  0.8213  0.0852  0.8667  1 H 2.01, 1 Zr 2.08
F  0.8213  0.4148  0.3667  1 H 2.01, 1 Zr 2.08
F  0.9148  0.1787  0.6333  1 H 2.01, 1 Zr 2.08
F  0.9148  0.3213  0.1333  1 H 2.01, 1 Zr 2.08

***

Entry 3:
Compound: HfPd2
Source: Materials Project
Functional: GGA-PBE
Structure: relaxed

Results
Final energy in eV per atom: -7.59
Space group: I4/mmm (139)
Theoretical density in Mg/m³: 12.64

Cell: 3.4322 3.4322 8.7288 Å, 90.00 90.00 90.00°
With the nearest neighbours (Å) after each atom.
Atoms (fractional coordinates):
Hf  0.0000  0.0000  0.0000  10 Pd 2.81-2.96
Hf  0.5000  0.5000  0.5000  10 Pd 2.81-2.96
Pd  0.0000  0.0000  0.3386  5 Hf 2.81-2.96, 5 Pd 2.82-2.88
Pd  0.0000  0.0000  0.6614  5 Hf 2.81-2.96, 5 Pd 2.82-2.88
Pd  0.5000  0.5000  0.1614  5 Hf 2.81-2.96, 5 Pd 2.82-2.88
Pd  0.5000  0.5000  0.8386  5 Hf 2.81-2.96, 5 Pd 2.82-2.88

***

Entry 4:
Compound: La2RuO5
Source: Materials Project
Functional: GGA-PBE
Structure: relaxed

Results
Final energy in eV per atom: -8.02
Space group: P2_1/c (14)
Total magnetization in μB per formula unit: 2.00
Theoretical density in Mg/m³: 7.10

Cell: 9.3067 5.9149 7.9337 Å, 90.00 100.42 90.00°
With the nearest neighbours (Å) after each atom.
Atoms (fractional coordinates):
La  0.0554  0.2382  0.3785  4 O 2.37-2.47
La  0.0554  0.2618  0.8785  4 O 2.37-2.47
La  0.3233  0.7490  0.4647  5 O 2.34-2.61
La  0.3233  0.7510  0.9647  5 O 2.34-2.61
La  0.6767  0.2490  0.0353  5 O 2.34-2.61
La  0.6767  0.2510  0.5353  5 O 2.34-2.61
La  0.9446  0.7382  0.1215  4 O 2.37-2.47
La  0.9446  0.7618  0.6215  4 O 2.37-2.47
Ru  0.3549  0.2454  0.2122  6 O 1.99-2.06
Ru  0.3549  0.2546  0.7122  6 O 1.99-2.06
Ru  0.6451  0.7454  0.2878  6 O 1.99-2.06
Ru  0.6451  0.7546  0.7878  6 O 1.99-2.06
O  0.0743  0.6604  0.8977  4 La 2.34-2.38
O  0.0743  0.8396  0.3977  4 La 2.34-2.38
O  0.1847  0.0407  0.1243  1 Ru 2.02
O  0.1847  0.4593  0.6243  1 Ru 2.02
O  0.2279  0.5125  0.2268  1 Ru 1.99
O  0.2279  0.9875  0.7268  1 Ru 1.99
O  0.3518  0.1616  0.4620  2 Ru 2.05-2.06
O  0.3518  0.3384  0.9620  2 Ru 2.05-2.06
O  0.4739  0.5466  0.7038  2 Ru 2.03-2.06
O  0.4739  0.9534  0.2038  2 Ru 2.03-2.06
O  0.5261  0.0466  0.7962  2 Ru 2.03-2.06
O  0.5261  0.4534  0.2962  2 Ru 2.03-2.06
O  0.6482  0.6616  0.0380  2 Ru 2.05-2.06
O  0.6482  0.8384  0.5380  2 Ru 2.05-2.06
O  0.7721  0.0125  0.2732  1 Ru 1.99
O  0.7721  0.4875  0.7732  1 Ru 1.99
O  0.8153  0.5407  0.3757  1 Ru 2.02
O  0.8153  0.9593  0.8757  1 Ru 2.02
O  0.9257  0.1604  0.6023  4 La 2.34-2.38
O  0.9257  0.3396  0.1023  4 La 2.34-2.38

***

Entry 5:
Compound: RbLiMg14
Source: Materials Project
Functional: GGA-PBE
Structure: relaxed

Results
Final energy in eV per atom: -1.44
Space group: P-6m2 (187)
Total magnetization in μB per formula unit: 0.00
Theoretical density in Mg/m³: 1.80

Cell: 6.6304 6.6304 10.4670 Å, 90.00 90.00 120.00°
With the nearest neighbours (Å) after each atom.
Atoms (fractional coordinates):
Rb  0.0000  0.0000  0.0000  12 Mg 3.32-3.41
Li  0.0000  0.0000  0.5000  12 Mg 3.15-3.32
Mg  0.0059  0.5029  0.0000  10 Mg 3.23-3.37, 2 Rb 3.32
Mg  0.1718  0.3436  0.2654  10 Mg 3.10-3.42, 1 Li 3.15, 1 Rb 3.41
Mg  0.1718  0.3436  0.7346  10 Mg 3.10-3.42, 1 Li 3.15, 1 Rb 3.41
Mg  0.1718  0.8282  0.2654  10 Mg 3.10-3.42, 1 Li 3.15, 1 Rb 3.41
Mg  0.1718  0.8282  0.7346  10 Mg 3.10-3.42, 1 Li 3.15, 1 Rb 3.41
Mg  0.4971  0.5029  0.0000  10 Mg 3.23-3.37, 2 Rb 3.32
Mg  0.4971  0.9941  0.0000  10 Mg 3.23-3.37, 2 Rb 3.32
Mg  0.5005  0.0011  0.5000  10 Mg 3.10-3.33, 2 Li 3.32
Mg  0.5005  0.4995  0.5000  10 Mg 3.10-3.33, 2 Li 3.32
Mg  0.6564  0.8282  0.2654  10 Mg 3.10-3.42, 1 Li 3.15, 1 Rb 3.41
Mg  0.6564  0.8282  0.7346  10 Mg 3.10-3.42, 1 Li 3.15, 1 Rb 3.41
Mg  0.6667  0.3333  0.2457  12 Mg 3.23-3.32
Mg  0.6667  0.3333  0.7543  12 Mg 3.23-3.32
Mg  0.9989  0.4995  0.5000  10 Mg 3.10-3.33, 2 Li 3.32

***

What is the theoretical density in the first record?
2.99 Mg/m³